(1)
The following is a DFT calculation (GGA-PBE) of crystalline Y2Se3O12 at its relaxed geometry.

POSCAR file:
```
Y2Se3O12
1.0
9.7136 0.0000 0.0000
0.0000 9.8001 0.0000
0.0000 0.0000 13.5010
Y Se O
8 12 48
Direct
0.2498 0.9623 0.1177
0.7502 0.4623 0.1177
0.2502 0.4623 0.3823
0.7498 0.9623 0.3823
0.2502 0.0377 0.6177
0.7498 0.5377 0.6177
0.2498 0.5377 0.8823
0.7502 0.0377 0.8823
0.0351 0.2500 0.0000
0.9649 0.7500 0.0000
0.3939 0.6116 0.1468
0.6061 0.1116 0.1468
0.1061 0.1116 0.3532
0.8939 0.6116 0.3532
0.4649 0.7500 0.5000
0.5351 0.2500 0.5000
0.1061 0.3884 0.6468
0.8939 0.8884 0.6468
0.3939 0.8884 0.8532
0.6061 0.3884 0.8532
0.6668 0.0747 0.0348
0.3332 0.5747 0.0348
0.8653 0.6455 0.0647
0.1347 0.1455 0.0647
0.0617 0.8360 0.0802
0.9383 0.3360 0.0802
0.4359 0.0947 0.1487
0.5641 0.5947 0.1487
0.3563 0.7721 0.1765
0.6437 0.2721 0.1765
0.3227 0.5037 0.2268
0.6773 0.0037 0.2268
0.1773 0.0037 0.2732
0.8227 0.5037 0.2732
0.8563 0.7721 0.3235
0.1437 0.2721 0.3235
0.0641 0.5947 0.3513
0.9359 0.0947 0.3513
0.4383 0.3360 0.4198
0.5617 0.8360 0.4198
0.3653 0.6455 0.4353
0.6347 0.1455 0.4353
0.1668 0.0747 0.4652
0.8332 0.5747 0.4652
0.1668 0.4253 0.5348
0.8332 0.9253 0.5348
0.6347 0.3545 0.5647
0.3653 0.8545 0.5647
0.4383 0.1640 0.5802
0.5617 0.6640 0.5802
0.0641 0.9053 0.6487
0.9359 0.4053 0.6487
0.1437 0.2279 0.6765
0.8563 0.7279 0.6765
0.1773 0.4963 0.7268
0.8227 0.9963 0.7268
0.3227 0.9963 0.7732
0.6773 0.4963 0.7732
0.3563 0.7279 0.8235
0.6437 0.2279 0.8235
0.4359 0.4053 0.8513
0.5641 0.9053 0.8513
0.0617 0.6640 0.9198
0.9383 0.1640 0.9198
0.1347 0.3545 0.9353
0.8653 0.8545 0.9353
0.3332 0.9253 0.9652
0.6668 0.4253 0.9652
```

Output
- energy of formation (eV/atom) = -2.072
- symmetry = Pbcn, No. 60
- crystal system = orthorhombic


(2)
The following is a DFT calculation (GGA-PBE) of crystalline Eu2SiO4 at its relaxed geometry.

POSCAR file:
```
Eu2SiO4
1.0
7.1220 0.0000 0.0000
0.0000 5.7211 0.0000
0.0000 5.1165 9.7805
Eu Si O
8 4 16
Direct
0.6594 0.8111 0.4246
0.3406 0.1889 0.5754
0.5011 0.4736 0.8019
0.1594 0.1889 0.0754
0.9989 0.4736 0.3019
0.0011 0.5264 0.6981
0.4989 0.5264 0.1981
0.8406 0.8111 0.9246
0.7794 0.1602 0.5816
0.2794 0.8398 0.9184
0.7206 0.1602 0.0816
0.2206 0.8398 0.4184
0.2362 0.1544 0.8168
0.1758 0.6476 0.8628
0.8242 0.3524 0.1372
0.7638 0.8456 0.1832
0.6828 0.2451 0.4292
0.1828 0.7549 0.0708
0.7362 0.8456 0.6832
0.3172 0.7549 0.5708
0.0055 0.2142 0.5674
0.4945 0.2142 0.0674
0.6758 0.3524 0.6372
0.3242 0.6476 0.3628
0.5055 0.7858 0.9326
0.9945 0.7858 0.4326
0.8172 0.2451 0.9292
0.2638 0.1544 0.3168
```

Output
- energy of formation (eV/atom) = -3.359
- symmetry = P2_1/c, No. 14
- crystal system = monoclinic


(3)
The following is a DFT calculation (GGA-PBE) of crystalline Cr2GaC at its relaxed geometry.

POSCAR file:
```
Cr2GaC
1.0
1.4363 -2.4877 0.0000
1.4363 2.4877 0.0000
0.0000 0.0000 12.5318
Cr Ga C
4 2 2
Direct
0.3333 0.6667 0.0846
0.6667 0.3333 0.5846
0.6667 0.3333 0.9154
0.3333 0.6667 0.4154
0.3333 0.6667 0.7500
0.6667 0.3333 0.2500
0.0000 0.0000 0.5000
0.0000 0.0000 0.0000
```

Output
- energy of formation (eV/atom) = -0.130
- symmetry = P6_3/mmc, No. 194
- crystal system = hexagonal


(4)
The following is a DFT calculation (GGA-PBE) of crystalline SrZrN2 at its relaxed geometry.

POSCAR file:
```
SrZrN2
1.0
0.4791 1.6990 -2.9034
0.4791 -1.6990 -2.9034
-5.5452 0.0000 -2.9034
Sr Zr N
1 1 2
Direct
0.0000 0.0000 0.0000
0.5000 0.5000 0.5000
0.7661 0.7661 0.7017
0.2339 0.2339 0.2983
```

Output
- energy of formation (eV/atom) = -1.464
- symmetry = R-3m, No. 166
- crystal system = trigonal


(5)
The following is a DFT calculation (GGA-PBE) of crystalline KLaTbSbO6 at its relaxed geometry.

POSCAR file:
```
KLaTbSbO6
1.0
0.0984 5.8518 0.9920
-1.4887 3.7709 -4.3360
-5.0876 3.0408 0.3279
K La Tb Sb O
1 1 1 1 6
Direct
0.2500 0.2500 0.2500
0.7500 0.7500 0.7500
0.5000 0.5000 0.5000
0.0000 0.0000 0.0000
0.7631 0.2369 0.2369
0.2369 0.7631 0.7631
0.7631 0.2369 0.7631
0.2369 0.7631 0.2369
0.7631 0.7631 0.2369
0.2369 0.2369 0.7631
```

Output
- energy of formation (eV/atom) = -2.880
- symmetry = F-43m, No. 216
- total moment (μB/f.u.) = 0.00
- crystal system = cubic


(6)
The following is a DFT calculation (GGA-PBE) of crystalline Pb3O5 at its relaxed geometry.

POSCAR file:
```
Pb3O5
1.0
4.0082 -11.4954 0.0000
4.0082 11.4954 0.0000
0.0000 0.0000 11.0768
Pb O
24 40
Direct
0.5099 0.9901 0.7500
0.4901 0.0099 0.2500
0.6696 0.8304 0.2500
0.3362 0.6638 0.4996
0.8362 0.1638 0.0004
0.5000 0.5000 0.5000
0.8312 0.6688 0.2500
0.1638 0.8362 0.9996
0.1696 0.3304 0.2500
0.6688 0.8312 0.7500
0.6638 0.3362 0.5004
0.3265 0.6735 0.9933
0.3304 0.1696 0.7500
0.1735 0.8265 0.4933
0.8265 0.1735 0.5067
0.8304 0.6696 0.7500
0.9901 0.5099 0.2500
0.5000 0.5000 0.0000
0.1688 0.3312 0.7500
0.0000 0.0000 0.5000
0.3312 0.1688 0.2500
0.0000 0.0000 0.0000
0.0099 0.4901 0.7500
0.6735 0.3265 0.0067
0.6159 0.9307 0.6252
0.8995 0.5075 0.8876
0.0075 0.3995 0.3876
0.9123 0.0877 0.4240
0.7930 0.7728 0.3772
0.3841 0.0693 0.3748
0.1159 0.4307 0.8748
0.0754 0.9246 0.8929
0.0785 0.9215 0.1637
0.2272 0.2070 0.3772
0.4246 0.5754 0.3929
0.0693 0.3841 0.6252
0.4215 0.5785 0.6637
0.2546 0.7454 0.8345
0.9925 0.6005 0.6124
0.3995 0.0075 0.6124
0.7070 0.7272 0.8772
0.7546 0.2454 0.6655
0.9246 0.0754 0.1071
0.5877 0.4123 0.9240
0.1005 0.4925 0.1124
0.2728 0.2930 0.8772
0.2930 0.2728 0.1228
0.5754 0.4246 0.6071
0.5693 0.8841 0.8748
0.7728 0.7930 0.6228
0.5785 0.4215 0.3363
0.6005 0.9925 0.3876
0.4123 0.5877 0.0760
0.9307 0.6159 0.3748
0.4925 0.1005 0.8876
0.5075 0.8995 0.1124
0.7272 0.7070 0.1228
0.8841 0.5693 0.1252
0.7454 0.2546 0.1655
0.0877 0.9123 0.5760
0.9215 0.0785 0.8363
0.2454 0.7546 0.3345
0.4307 0.1159 0.1252
0.2070 0.2272 0.6228
```

Output
- energy of formation (eV/atom) = -1.322
- symmetry = Cmce, No. 64
- total moment (μB/f.u.) = 0.00
- crystal system = orthorhombic


(7)
The following is a DFT calculation (GGA-PBE) of crystalline NbTlP2O8 at its relaxed geometry.

POSCAR file:
```
NbTlP2O8
1.0
-3.3438 -8.0149 9.7571
0.8883 -4.0555 -3.0269
11.5943 -3.7086 0.9271
Nb Tl P O
4 4 8 32
Direct
0.0723 0.0949 0.2028
0.5723 0.9051 0.2972
0.9277 0.9051 0.7972
0.4277 0.0949 0.7028
0.3820 0.2577 0.0233
0.8820 0.7423 0.4767
0.6180 0.7423 0.9767
0.1180 0.2577 0.5233
0.2502 0.5820 0.7092
0.7502 0.4180 0.7908
0.7498 0.4180 0.2908
0.2498 0.5820 0.2092
0.0874 0.3110 0.8864
0.5874 0.6890 0.6136
0.9126 0.6890 0.1136
0.4126 0.3110 0.3864
0.1022 0.1373 0.0140
0.6022 0.8627 0.4860
0.8978 0.8627 0.9860
0.3978 0.1373 0.5140
0.5495 0.8516 0.6907
0.0495 0.1484 0.8093
0.4505 0.1484 0.3093
0.9505 0.8516 0.1907
0.3344 0.7574 0.7386
0.8344 0.2426 0.7614
0.6656 0.2426 0.2614
0.1656 0.7574 0.2386
0.2995 0.4220 0.3391
0.7995 0.5780 0.1609
0.7005 0.5780 0.6609
0.2005 0.4220 0.8391
0.9814 0.4332 0.1339
0.4814 0.5668 0.3661
0.0186 0.5668 0.8661
0.5186 0.4332 0.6339
0.1702 0.7371 0.6233
0.6702 0.2629 0.8767
0.8298 0.2629 0.3767
0.3298 0.7371 0.1233
0.0517 0.0476 0.3520
0.5517 0.9524 0.1480
0.9483 0.9524 0.6480
0.4483 0.0476 0.8520
0.1985 0.3465 0.1769
0.6985 0.6535 0.3231
0.8015 0.6535 0.8231
0.3015 0.3465 0.6769
```

Output
- energy of formation (eV/atom) = -2.649
- symmetry = P2_1/c, No. 14
- total moment (μB/f.u.) = 0.00
- crystal system = monoclinic


(8)
The following is a DFT calculation (GGA-PBE) of crystalline SrLiAs at its relaxed geometry.

POSCAR file:
```
SrLiAs
1.0
4.5420 0.0000 0.0000
0.0000 7.6628 0.0000
0.0000 0.0000 8.0830
Sr Li As
4 4 4
Direct
0.2500 0.0075 0.2947
0.2500 0.5075 0.2053
0.7500 0.9925 0.7053
0.7500 0.4925 0.7947
0.2500 0.1575 0.9271
0.2500 0.6575 0.5729
0.7500 0.8425 0.0729
0.7500 0.3425 0.4271
0.2500 0.2758 0.5940
0.2500 0.7758 0.9060
0.7500 0.7242 0.4060
0.7500 0.2242 0.0940
```

Output
- energy of formation (eV/atom) = -1.025
- symmetry = Pnma, No. 62
- crystal system = orthorhombic


Number 1: total DFT energy (no corrections) -6.46 eV/atom. Number 2: total DFT energy (no corrections) -9.50 eV/atom. Number 3: total DFT energy (no corrections) -8.02 eV/atom. Number 4: total DFT energy (no corrections) -8.01 eV/atom. Number 5: total DFT energy (no corrections) -6.92 eV/atom. Number 6: total DFT energy (no corrections) -5.38 eV/atom. Number 7: total DFT energy (no corrections) -7.43 eV/atom. Number 8: total DFT energy (no corrections) -3.78 eV/atom.